1.
## CaCd2Cu9 (PBE)

Data for an optimized crystal structure of CaCd2Cu9.

Structure (extended XYZ):
```
24
Lattice="8.3463 0.0000 0.0000 0.0000 8.3463 0.0000 0.0000 0.0000 5.1037" Properties=species:S:1:pos:R:3 pbc="T T T"
Ca 0.0000 0.0000 0.0000
Ca 4.1732 4.1732 0.0000
Cd 1.0255 3.1476 0.0000
Cd 3.1476 7.3208 0.0000
Cd 5.1987 1.0255 0.0000
Cd 7.3208 5.1987 0.0000
Cu 0.0000 4.1732 2.5518
Cu 0.5302 1.7171 2.5518
Cu 1.4850 5.6581 1.2622
Cu 1.4850 5.6581 3.8414
Cu 1.7171 7.8161 2.5518
Cu 2.4561 3.6430 2.5518
Cu 2.6882 1.4850 1.2622
Cu 2.6882 1.4850 3.8414
Cu 3.6430 5.8903 2.5518
Cu 4.1732 0.0000 2.5518
Cu 4.7033 2.4561 2.5518
Cu 5.6581 6.8614 1.2622
Cu 5.6581 6.8614 3.8414
Cu 5.8903 4.7033 2.5518
Cu 6.6292 0.5302 2.5518
Cu 6.8614 2.6882 1.2622
Cu 6.8614 2.6882 3.8414
Cu 7.8161 6.6292 2.5518
```

* total moment: 0.0 μB/cell
* DFT formation energy: -0.8 eV per formula unit
* theoretical density: 7.8 g/cm3
* crystal system: tetragonal

=====

2.
## Mg2Pb (PBE)

Data for an optimized crystal structure of Mg2Pb.

Structure (extended XYZ):
```
3
Lattice="0.0000 3.4587 3.4587 3.4587 0.0000 3.4587 3.4587 3.4587 0.0000" Properties=species:S:1:pos:R:3 pbc="T T T"
Mg 1.7294 1.7294 1.7294
Mg 5.1881 5.1881 5.1881
Pb 0.0000 0.0000 0.0000
```

* DFT formation energy: -0.2 eV per formula unit
* theoretical density: 5.1 g/cm3
* crystal system: cubic

=====

3.
## Bi16Ru16O55 (PBE)

Data for an optimized crystal structure of Bi16Ru16O55.

Structure (extended XYZ):
```
174
Lattice="3.6636 2.1152 47.8097 -3.6636 2.1152 47.8097 0.0000 -4.2303 47.8097" Properties=species:S:1:pos:R:3 pbc="T T T"
Bi -3.6636 0.0000 71.7145
Bi -1.8318 1.0576 23.9048
Bi -1.8318 -1.0576 47.8097
Bi 0.0000 0.0000 8.9087
Bi -1.8319 -1.0577 65.7386
Bi 0.0000 -2.0444 41.8776
Bi -1.7705 1.0222 41.8776
Bi 0.0000 0.0000 26.8924
Bi -1.8352 -1.0595 83.6723
Bi 0.0000 -2.1191 59.7568
Bi -1.8351 1.0595 59.7568
Bi 0.0000 0.0000 44.6978
Bi 0.0000 -2.1153 77.6904
Bi -1.8319 1.0577 77.6904
Bi -1.7705 -1.0222 101.5514
Bi 0.0000 0.0000 62.7465
Bi 1.8318 1.0576 23.9048
Bi -1.8318 1.0576 95.6193
Bi 0.0000 2.1152 47.8096
Bi 0.0000 0.0000 80.6826
Bi 1.7705 1.0222 41.8777
Bi 1.8319 -1.0577 65.7386
Bi 0.0000 2.1153 65.7386
Bi 0.0000 0.0000 98.7313
Bi 1.8352 -1.0595 83.6724
Bi 0.0000 2.1191 83.6724
Bi 1.8352 1.0595 59.7567
Bi 0.0000 0.0000 116.5367
Bi 1.7705 -1.0222 101.5514
Bi 0.0000 2.0444 101.5514
Bi 1.8319 1.0577 77.6905
Bi 0.0000 0.0000 134.5204
Ru 0.0000 0.0000 0.0000
Ru 0.0000 -2.1161 32.8675
Ru -1.8326 1.0580 32.8675
Ru -1.8290 -1.0560 56.7726
Ru 0.0000 0.0000 17.9282
Ru 0.0000 -2.1127 50.7932
Ru -1.8297 1.0564 50.7932
Ru -1.8312 -1.0572 74.7006
Ru 0.0000 0.0000 35.8535
Ru 0.0000 -2.1145 68.7285
Ru -1.8312 1.0572 68.7285
Ru -1.8297 -1.0564 92.6359
Ru 0.0000 0.0000 53.7849
Ru -1.8326 -1.0580 110.5615
Ru 0.0000 -2.1120 86.6565
Ru -1.8290 1.0560 86.6565
Ru 0.0000 0.0000 71.7145
Ru 1.8290 -1.0560 56.7727
Ru 0.0000 2.1120 56.7727
Ru 1.8326 1.0580 32.8676
Ru 0.0000 0.0000 89.6442
Ru 1.8297 1.0564 50.7932
Ru 1.8312 -1.0572 74.7006
Ru 0.0000 2.1145 74.7006
Ru 0.0000 0.0000 107.5755
Ru 1.8312 1.0572 68.7284
Ru 1.8297 -1.0564 92.6358
Ru 0.0000 2.1127 92.6358
Ru 0.0000 0.0000 125.5009
Ru 1.8290 1.0560 86.6564
Ru 1.8326 -1.0580 110.5616
Ru 0.0000 2.1161 110.5616
O 0.0000 -1.7283 21.3913
O -1.4967 0.8641 21.3913
O -2.1688 -1.2522 58.7439
O 0.0000 -2.5036 30.9011
O -2.1682 1.2518 30.9011
O 0.0000 0.0000 6.5385
O -2.1695 -1.2525 63.2196
O 0.0000 0.0000 11.1419
O -1.5013 -0.8668 50.3411
O 0.0000 -1.7300 34.8357
O -1.4982 0.8650 34.8357
O 0.0000 -2.5023 44.3553
O -1.4870 -0.8585 54.8106
O -2.1670 1.2511 44.3553
O 0.0000 -1.7304 39.3392
O -1.4986 0.8652 39.3392
O -2.1640 -1.2494 76.6736
O 0.0000 -2.4897 48.8240
O -2.1561 1.2449 48.8240
O -2.1675 -1.2514 81.1516
O 0.0000 0.0000 24.6507
O 0.0000 0.0000 29.1337
O -1.4984 -0.8651 68.2488
O 0.0000 -1.7393 52.7703
O -1.5063 0.8697 52.7703
O -1.4974 -0.8645 72.7338
O 0.0000 -2.5028 62.2775
O -2.1675 1.2514 62.2775
O 0.0000 -1.7273 57.2486
O -1.4959 0.8636 57.2486
O -2.1561 -1.2449 94.6051
O 0.0000 -2.4988 66.7555
O -2.1640 1.2494 66.7555
O -2.1670 -1.2511 99.0737
O 0.0000 0.0000 46.9012
O -1.4959 -0.8636 86.1804
O 0.0000 -1.7291 70.6952
O -1.4974 0.8645 70.6952
O -1.5063 -0.8697 90.6587
O 0.0000 -2.5051 80.2095
O -2.1695 1.2525 80.2095
O 0.0000 -1.7302 75.1804
O -1.4984 0.8651 75.1804
O -2.1682 -1.2518 112.5280
O 0.0000 -2.5043 84.6852
O -2.1688 1.2522 84.6852
O 1.4967 0.8641 21.3913
O 0.0000 0.0000 60.5036
O 0.0000 0.0000 64.9930
O -1.4986 -0.8652 104.0900
O 0.0000 -1.7170 88.6186
O -1.4870 0.8585 88.6186
O -1.4982 -0.8650 108.5934
O 1.5013 -0.8668 50.3412
O 0.0000 1.7335 50.3412
O 0.0000 -1.7335 93.0880
O -1.5013 0.8668 93.0880
O 1.4982 0.8650 34.8356
O 1.4870 -0.8585 54.8106
O 0.0000 1.7170 54.8106
O 1.4986 0.8652 39.3392
O 0.0000 0.0000 78.4361
O 0.0000 0.0000 82.9255
O -1.4967 -0.8641 122.0378
O 2.1688 -1.2522 58.7440
O 0.0000 2.5043 58.7440
O 2.1682 1.2518 30.9012
O 1.4984 -0.8651 68.2487
O 0.0000 1.7302 68.2487
O 2.1695 -1.2525 63.2197
O 0.0000 2.5051 63.2197
O 1.5063 0.8697 52.7703
O 1.4974 -0.8645 72.7338
O 0.0000 1.7291 72.7338
O 1.4959 0.8636 57.2486
O 0.0000 0.0000 96.5279
O 2.1670 1.2511 44.3554
O 2.1640 -1.2494 76.6735
O 0.0000 2.4988 76.6735
O 2.1561 1.2449 48.8241
O 1.4959 -0.8636 86.1805
O 0.0000 1.7273 86.1805
O 2.1675 -1.2514 81.1515
O 0.0000 2.5028 81.1515
O 1.4974 0.8645 70.6953
O 1.5063 -0.8697 90.6588
O 0.0000 1.7393 90.6588
O 1.4984 0.8651 75.1804
O 0.0000 0.0000 114.2953
O 0.0000 0.0000 118.7784
O 2.1675 1.2514 62.2776
O 2.1561 -1.2448 94.6051
O 0.0000 2.4897 94.6051
O 2.1640 1.2494 66.7556
O 1.4986 -0.8652 104.0899
O 0.0000 1.7304 104.0899
O 2.1670 -1.2511 99.0736
O 1.4870 0.8585 88.6185
O 0.0000 2.5023 99.0736
O 1.4982 -0.8650 108.5935
O 0.0000 1.7300 108.5935
O 1.5013 0.8668 93.0879
O 0.0000 0.0000 132.2872
O 2.1695 1.2525 80.2095
O 0.0000 0.0000 136.8906
O 2.1682 -1.2518 112.5279
O 0.0000 2.5036 112.5279
O 2.1688 1.2522 84.6852
O 1.4967 -0.8641 122.0378
O 0.0000 1.7283 122.0378
```

* total moment: 1.2 μB/cell
* DFT formation energy: -133.2 eV per formula unit
* theoretical density: 8.7 g/cm3
* crystal system: trigonal

=====

4.
## NaLa2PS2O12 (PBE)

Data for an optimized crystal structure of NaLa2PS2O12.

Structure (extended XYZ):
```
108
Lattice="8.2106 -4.7400 0.0000 8.2106 4.7400 0.0000 -0.0037 0.0000 25.2988" Properties=species:S:1:pos:R:3 pbc="T T T"
Na 8.2088 4.7194 12.6494
Na 5.5509 0.1414 21.0881
Na 5.5527 -0.1414 8.4387
Na 11.1886 0.1722 4.2149
Na 11.1868 -0.1722 16.8643
Na 8.2106 -4.7194 0.0000
La 0.1856 0.0038 16.4360
La 0.1893 0.0051 21.5119
La 0.1874 -0.0038 3.7866
La 0.1911 -0.0051 8.8625
La 5.5879 0.1123 17.3023
La 5.6696 0.0135 12.2237
La 5.6678 -0.0135 24.8731
La 5.5897 -0.1123 4.6529
La 11.2036 0.1372 8.0020
La 11.2815 0.0163 0.4279
La 11.2797 -0.0163 13.0773
La 11.2018 -0.1372 20.6514
P 2.6192 1.4017 18.9726
P 5.6877 2.8439 14.7470
P 2.6211 -1.4017 6.3232
P 5.6895 -2.8439 2.0976
P 13.6345 1.4437 10.5437
P 13.6326 -1.4437 23.1931
S 5.9380 3.2982 6.3214
S 3.2049 1.4231 2.1076
S 8.4192 1.8896 18.9804
S 3.2031 -1.4231 14.7570
S 8.1274 1.4014 2.1207
S 8.6935 1.4131 10.5599
S 11.1373 2.8248 23.1688
S 8.1255 -1.4014 14.7701
S 8.6917 -1.4131 23.2093
S 5.9361 -3.2982 18.9707
S 8.4210 -1.8896 6.3310
S 11.1392 -2.8248 10.5194
O 1.9005 0.8712 20.2403
O 6.7259 3.6257 7.5362
O 6.9517 3.7392 14.8393
O 1.8624 0.7845 2.1973
O 4.0092 1.1217 3.3206
O 5.5570 1.9562 16.0168
O 4.1457 1.0655 10.6055
O 3.8784 0.8967 0.8928
O 5.7940 1.9426 13.4894
O 5.5486 1.7541 23.2946
O 5.8239 1.8253 6.2161
O 4.0341 0.7556 18.9103
O 1.8606 -0.7845 14.8467
O 8.2698 2.8841 2.1949
O 1.9024 -0.8712 7.5909
O 8.2680 2.7480 20.1900
O 9.9307 3.6960 23.0928
O 8.5651 2.8902 10.4754
O 10.0099 3.6950 5.0568
O 8.5292 2.7345 17.7625
O 4.0360 -0.7556 6.2609
O 7.3231 1.0992 0.9012
O 3.8766 -0.8967 13.5422
O 7.2107 1.0212 18.8963
O 7.4392 0.8883 3.3334
O 7.3356 0.8020 10.6324
O 4.0074 -1.1217 15.9700
O 4.1439 -1.0655 23.2549
O 11.0031 1.9902 24.3946
O 9.4847 1.0754 11.7686
O 9.6386 1.0516 19.0853
O 9.3531 0.8789 9.3353
O 11.2430 1.9683 21.9615
O 10.9783 1.7893 6.3838
O 11.2562 1.8413 14.6693
O 9.4673 0.7722 2.0213
O 5.5504 -1.7541 10.6453
O 7.3337 -0.8020 23.2818
O 5.5589 -1.9562 3.3674
O 5.8221 -1.8253 18.8655
O 7.2125 -1.0212 6.2469
O 7.4373 -0.8883 15.9827
O 5.7959 -1.9426 0.8400
O 7.3212 -1.0992 13.5506
O 9.4655 -0.7722 14.6707
O 9.3512 -0.8789 21.9847
O 12.6228 1.0089 2.0312
O 12.7868 1.1113 9.2819
O 9.4829 -1.0754 24.4179
O 12.7906 0.8285 19.0549
O 12.9185 0.8717 11.8006
O 9.6404 -1.0516 6.4359
O 6.7240 -3.6257 20.1856
O 8.2699 -2.7480 7.5406
O 8.2680 -2.8841 14.8443
O 8.5310 -2.7345 5.1131
O 14.8135 0.8815 17.7574
O 6.9535 -3.7392 2.1899
O 8.5633 -2.8902 23.1248
O 15.0329 0.7796 10.4438
O 10.9765 -1.7893 19.0332
O 12.7924 -0.8285 6.4055
O 12.6209 -1.0089 14.6806
O 12.9167 -0.8717 24.4499
O 11.0049 -1.9902 11.7453
O 11.2580 -1.8413 2.0199
O 11.2448 -1.9683 9.3121
O 12.7850 -1.1113 21.9313
O 9.9325 -3.6960 10.4434
O 14.8154 -0.8815 5.1080
O 15.0311 -0.7796 23.0931
O 10.0080 -3.6950 17.7062
```

* total moment: 0.0 μB/cell
* DFT formation energy: -50.6 eV per formula unit
* theoretical density: 3.0 g/cm3
* crystal system: monoclinic

=====

5.
## TbInNi (PBE)

Data for an optimized crystal structure of TbInNi.

Structure (extended XYZ):
```
9
Lattice="7.4907 0.0000 0.0000 -3.7454 6.4871 0.0000 0.0000 0.0000 3.7842" Properties=species:S:1:pos:R:3 pbc="T T T"
Tb -2.2062 3.8213 0.0000
Tb 1.5391 2.6658 0.0000
Tb 4.4125 0.0000 0.0000
In -0.9558 1.6554 1.8921
In 1.9115 0.0000 1.8921
In 2.7896 4.8317 1.8921
Ni 0.0000 0.0000 0.0000
Ni 0.0000 4.3248 1.8921
Ni 3.7454 2.1624 1.8921
```

* DFT formation energy: -1.5 eV per formula unit
* theoretical density: 9.0 g/cm3
* crystal system: hexagonal

=====

6.
## Ba3P14 (PBE)

Data for an optimized crystal structure of Ba3P14.

Structure (extended XYZ):
```
34
Lattice="6.5686 0.0000 0.0000 0.0000 13.2501 0.0000 -6.5012 0.0000 10.3477" Properties=species:S:1:pos:R:3 pbc="T T T"
Ba 0.0000 0.0000 0.0000
Ba -3.2506 6.6250 5.1738
Ba -1.3191 2.0240 4.0105
Ba -4.5697 4.6010 9.1843
Ba 4.6370 8.6491 1.1633
Ba 1.3865 11.2260 6.3372
P -3.9123 2.0225 6.7440
P -0.6617 4.6026 1.5702
P 0.7681 2.9726 1.4928
P -2.4824 3.6525 6.6667
P -2.6515 0.1693 7.1087
P 0.5991 6.4557 1.9349
P -3.6290 1.1657 8.8664
P -0.3784 5.4594 3.6926
P -2.2612 9.4677 7.5227
P 0.9894 10.4074 2.3489
P -1.0583 9.0387 5.7309
P 2.1923 10.8364 0.5571
P -2.5889 7.4712 8.4211
P 0.6617 12.4039 3.2472
P -0.5943 0.8462 7.1004
P 2.6563 5.7788 1.9266
P -2.1249 2.4137 9.7906
P 1.1257 4.2113 4.6167
P -0.9220 2.8427 7.9988
P 2.3286 3.7823 2.8249
P 0.4458 7.7907 6.6551
P 3.6964 12.0844 1.4813
P -0.5317 6.7943 8.4128
P 2.7189 13.0807 3.2390
P 2.5498 9.5976 3.6810
P -0.7007 10.2775 8.8548
P 0.7291 8.6475 8.7775
P 3.9797 11.2276 3.6036
```

* DFT formation energy: -8.6 eV per formula unit
* theoretical density: 3.1 g/cm3
* crystal system: monoclinic

=====

7.
## Rb3HSe2O8 (PBE)

Data for an optimized crystal structure of Rb3HSe2O8.

Structure (extended XYZ):
```
14
Lattice="5.2469 -3.1194 0.0000 5.2469 3.1194 0.0000 -3.0307 0.0000 7.7906" Properties=species:S:1:pos:R:3 pbc="T T T"
Rb 0.0000 0.0000 0.0000
Rb 0.2575 0.0000 4.7365
Rb 7.2056 0.0000 3.0541
H 5.2469 0.0000 0.0000
Se 3.7248 0.0000 1.8311
Se 3.7383 0.0000 5.9596
O 3.0082 1.3844 5.3854
O 2.0850 0.0000 2.0812
O 4.4550 1.3844 2.4052
O 4.0225 0.0000 0.1164
O 3.4406 0.0000 7.6742
O 3.0082 -1.3844 5.3854
O 5.3781 0.0000 5.7094
O 4.4550 -1.3844 2.4052
```

* total moment: 0.0 μB/cell
* DFT formation energy: -23.2 eV per formula unit
* offset from the most stable computed form: 0.004 eV per atom
* theoretical density: 3.5 g/cm3
* crystal system: monoclinic

=====

8.
## MgAl2Si6O16 (PBE)

Data for an optimized crystal structure of MgAl2Si6O16.

Structure (extended XYZ):
```
25
Lattice="5.0999 0.0000 0.0000 0.3160 8.5181 0.0000 0.1768 0.7161 8.8237" Properties=species:S:1:pos:R:3 pbc="T T T"
Mg 0.0000 0.0000 0.0000
Al 3.1624 9.0314 7.7224
Al 4.5278 7.7318 3.4020
Si 0.5477 7.8112 6.3427
Si 1.1111 4.6835 6.2597
Si 1.7083 0.2779 2.0796
Si 2.7271 3.3406 1.9525
Si 3.6737 3.6405 7.7744
Si 5.3079 4.5470 3.2879
O 0.3641 8.6184 2.0951
O 0.6566 4.1164 4.8132
O 1.2092 6.3156 6.3023
O 1.6826 8.8901 6.8542
O 1.5231 4.3523 2.3309
O 2.2525 8.2769 0.5131
O 2.1458 1.8375 2.1398
O 2.5584 4.0229 6.6484
O 2.8134 7.9525 3.1640
O 3.0753 3.5733 0.3733
O 3.8454 1.9962 7.9060
O 4.0835 3.5424 2.8315
O 4.5506 7.9310 7.6245
O 4.9540 8.2917 4.9952
O 4.8524 6.0605 3.2077
O 5.1373 4.2145 7.3897
```

* total moment: 0.0 μB/cell
* DFT formation energy: -80.7 eV per formula unit
* offset from the most stable computed form: 0.005 eV per atom
* theoretical density: 2.2 g/cm3
* crystal system: triclinic

=====

Question: Among the records above, which one has the lowest theoretical density?
Answer: MgAl2Si6O16

=====

Repeat the sixth record exactly.
## Ba3P14 (PBE)

Data for an optimized crystal structure of Ba3P14.

Structure (extended XYZ):
```
34
Lattice="6.5686 0.0000 0.0000 0.0000 13.2501 0.0000 -6.5012 0.0000 10.3477" Properties=species:S:1:pos:R:3 pbc="T T T"
Ba 0.0000 0.0000 0.0000
Ba -3.2506 6.6250 5.1738
Ba -1.3191 2.0240 4.0105
Ba -4.5697 4.6010 9.1843
Ba 4.6370 8.6491 1.1633
Ba 1.3865 11.2260 6.3372
P -3.9123 2.0225 6.7440
P -0.6617 4.6026 1.5702
P 0.7681 2.9726 1.4928
P -2.4824 3.6525 6.6667
P -2.6515 0.1693 7.1087
P 0.5991 6.4557 1.9349
P -3.6290 1.1657 8.8664
P -0.3784 5.4594 3.6926
P -2.2612 9.4677 7.5227
P 0.9894 10.4074 2.3489
P -1.0583 9.0387 5.7309
P 2.1923 10.8364 0.5571
P -2.5889 7.4712 8.4211
P 0.6617 12.4039 3.2472
P -0.5943 0.8462 7.1004
P 2.6563 5.7788 1.9266
P -2.1249 2.4137 9.7906
P 1.1257 4.2113 4.6167
P -0.9220 2.8427 7.9988
P 2.3286 3.7823 2.8249
P 0.4458 7.7907 6.6551
P 3.6964 12.0844 1.4813
P -0.5317 6.7943 8.4128
P 2.7189 13.0807 3.2390
P 2.5498 9.5976 3.6810
P -0.7007 10.2775 8.8548
P 0.7291 8.6475 8.7775
P 3.9797 11.2276 3.6036
```

* DFT formation energy: -8.6 eV per formula unit
* theoretical density: 3.1 g/cm3
* crystal system: monoclinic

=====

Question: Which of these has the highest DFT formation energy?
Answer: Mg2Pb

=====

Question: Which of these has the highest DFT formation energy?
Answer: Mg2Pb